# 1
Density functional theory data (r2SCAN) for a geometry-optimized Yb2AgGe structure.

Cell: 4.954 4.954 4.954 Å, 60.00 60.00 60.00°
Fractional coordinates of all 4 atoms:
Yb1 0.250 0.250 0.250
Yb2 0.750 0.750 0.750
Ag1 0.500 0.500 0.500
Ge1 0.000 0.000 0.000

The crystal system is cubic. The symmetry is Fm-3m, No. 225. The final energy is -27.620 eV/atom. The calculation puts the energy of formation at -0.549 eV/atom.

=====

# 2
Density functional theory data (r2SCAN) for a geometry-optimized LiAg2P3H2O10 structure.

Cell: 7.573 7.592 8.379 Å, 72.82 73.96 71.83°
Fractional coordinates of all 36 atoms:
P1 0.901 0.286 0.906
P2 0.099 0.714 0.094
P3 0.260 0.757 0.732
P4 0.735 0.829 0.329
P5 0.265 0.171 0.671
P6 0.740 0.243 0.268
H1 0.380 0.993 0.266
H2 0.620 0.007 0.734
H3 0.773 0.989 0.827
H4 0.227 0.011 0.173
O1 0.822 0.706 0.475
O2 0.571 0.392 0.214
O3 0.681 0.047 0.338
O4 0.319 0.953 0.662
O5 0.276 0.090 0.217
O6 0.119 0.506 0.148
O7 0.437 0.205 0.698
O8 0.112 0.171 0.846
O9 0.563 0.795 0.302
O10 0.237 0.792 0.134
O11 0.724 0.910 0.783
O12 0.881 0.494 0.852
O13 0.178 0.294 0.525
O14 0.832 0.269 0.393
O15 0.763 0.208 0.866
O16 0.096 0.788 0.894
O17 0.904 0.212 0.106
O18 0.168 0.731 0.607
O19 0.888 0.829 0.154
O20 0.429 0.608 0.786
Li1 0.905 0.710 0.668
Li2 0.095 0.290 0.332
Ag1 0.344 0.564 0.403
Ag2 0.656 0.436 0.597
Ag3 0.582 0.701 0.015
Ag4 0.418 0.299 0.985

The crystal system is triclinic. The symmetry is P-1, No. 2. The final energy is -9.535 eV/atom. The calculation puts the energy of formation at -1.828 eV/atom.

=====

# 3
Density functional theory data (r2SCAN) for a geometry-optimized AgH14O8 structure.

Cell: 16.777 6.835 7.036 Å, 86.94 90.00 90.00°
Fractional coordinates of all 92 atoms:
H1 0.871 0.092 0.110
H2 0.279 0.267 0.744
H3 0.090 0.771 0.438
H4 0.058 0.383 0.796
H5 0.779 0.233 0.256
H6 0.221 0.767 0.744
H7 0.651 0.204 0.802
H8 0.779 0.204 0.840
H9 0.417 0.598 0.351
H10 0.849 0.704 0.802
H11 0.556 0.137 0.828
H12 0.049 0.586 0.351
H13 0.159 0.205 0.757
H14 0.221 0.796 0.160
H15 0.425 0.560 0.576
H16 0.371 0.408 0.890
H17 0.056 0.363 0.172
H18 0.841 0.795 0.243
H19 0.549 0.914 0.649
H20 0.910 0.229 0.562
H21 0.058 0.563 0.648
H22 0.341 0.705 0.757
H23 0.942 0.617 0.204
H24 0.609 0.816 0.095
H25 0.151 0.296 0.198
H26 0.558 0.937 0.352
H27 0.721 0.733 0.256
H28 0.442 0.883 0.796
H29 0.605 0.313 0.050
H30 0.951 0.414 0.649
H31 0.583 0.402 0.649
H32 0.395 0.687 0.950
H33 0.129 0.908 0.890
H34 0.891 0.316 0.095
H35 0.925 0.940 0.424
H36 0.659 0.295 0.243
H37 0.391 0.184 0.905
H38 0.575 0.440 0.424
H39 0.444 0.863 0.172
H40 0.109 0.684 0.905
H41 0.410 0.271 0.438
H42 0.895 0.813 0.050
H43 0.349 0.796 0.198
H44 0.944 0.637 0.828
H45 0.075 0.060 0.576
H46 0.279 0.296 0.160
H47 0.083 0.098 0.351
H48 0.590 0.729 0.562
H49 0.105 0.187 0.950
H50 0.721 0.704 0.840
H51 0.917 0.902 0.649
H52 0.558 0.117 0.204
H53 0.442 0.063 0.648
H54 0.629 0.592 0.110
H55 0.942 0.437 0.352
H56 0.451 0.086 0.351
O1 0.850 0.221 0.067
O2 0.761 0.731 0.358
O3 0.350 0.279 0.933
O4 0.910 0.999 0.542
O5 0.393 0.655 0.813
O6 0.964 0.483 0.223
O7 0.739 0.231 0.358
O8 0.905 0.744 0.837
O9 0.095 0.256 0.163
O10 0.241 0.294 0.265
O11 0.259 0.794 0.265
O12 0.411 0.125 0.442
O13 0.911 0.375 0.558
O14 0.410 0.501 0.458
O15 0.589 0.875 0.558
O16 0.741 0.206 0.735
O17 0.893 0.845 0.187
O18 0.464 0.017 0.777
O19 0.239 0.269 0.642
O20 0.090 0.001 0.458
O21 0.536 0.983 0.223
O22 0.650 0.721 0.067
O23 0.150 0.779 0.933
O24 0.595 0.244 0.837
O25 0.759 0.706 0.735
O26 0.405 0.756 0.163
O27 0.607 0.345 0.187
O28 0.590 0.499 0.542
O29 0.107 0.155 0.813
O30 0.089 0.625 0.442
O31 0.261 0.769 0.642
O32 0.036 0.517 0.777
Ag1 0.748 0.968 0.546
Ag2 0.752 0.468 0.546
Ag3 0.252 0.032 0.454
Ag4 0.248 0.532 0.454

The crystal system is monoclinic. The symmetry is P2_1/c, No. 14. The final energy is -6.041 eV/atom. The calculation puts the energy of formation at -0.932 eV/atom.

=====

# 4
Density functional theory data (r2SCAN) for a geometry-optimized Hf2Ag structure.

Cell: 3.204 3.204 6.359 Å, 104.59 104.59 90.00°
Fractional coordinates of all 3 atoms:
Hf1 0.336 0.336 0.671
Hf2 0.664 0.664 0.329
Ag1 0.000 0.000 0.000

The crystal system is tetragonal. The symmetry is I4/mmm, No. 139. The final energy is -37.333 eV/atom. The calculation puts the energy of formation at -0.114 eV/atom.

=====

Which of these has the lowest final energy?
Hf2Ag

=====

Look up the final energy of the third one.
-6.041 eV/atom

=====

Which of these has the lowest energy of formation?
LiAg2P3H2O10

=====

What is the energy of formation in the third record?
-0.932 eV/atom